# 1
The following is a DFT calculation (meta-GGA r2SCAN) of an optimized crystal structure of TbZn3.

Lattice parameters (Å, degrees): 4.357 6.645 9.992 90.00 90.00 90.00
Sites, in units of the cell vectors:
1 Zn 0.750 0.781 0.045
2 Zn 0.250 0.915 0.147
3 Zn 0.250 0.415 0.353
4 Zn 0.250 0.219 0.955
5 Zn 0.750 0.964 0.604
6 Zn 0.750 0.281 0.455
7 Zn 0.750 0.464 0.896
8 Zn 0.750 0.085 0.853
9 Zn 0.250 0.536 0.104
10 Zn 0.250 0.719 0.545
11 Zn 0.750 0.585 0.647
12 Zn 0.250 0.036 0.396
13 Tb 0.750 0.219 0.160
14 Tb 0.750 0.719 0.340
15 Tb 0.250 0.781 0.840
16 Tb 0.250 0.281 0.660

Values from the calculation:
- crystal system = orthorhombic
- SG = No. 62



# 2
The following is a DFT calculation (meta-GGA r2SCAN) of an optimized crystal structure of Tb6Zn23.

Lattice parameters (Å, degrees): 8.892 8.892 8.892 60.00 60.00 60.00
Sites, in units of the cell vectors:
1 Zn 0.500 0.500 0.000
2 Zn 0.124 0.629 0.124
3 Zn 0.124 0.124 0.629
4 Zn 0.017 0.328 0.328
5 Zn 0.629 0.124 0.124
6 Zn 0.672 0.672 0.672
7 Zn 0.000 0.500 0.000
8 Zn 0.000 0.500 0.500
9 Zn 0.983 0.672 0.672
10 Zn 0.000 0.000 0.500
11 Zn 0.672 0.672 0.983
12 Zn 0.876 0.371 0.876
13 Zn 0.328 0.017 0.328
14 Zn 0.672 0.983 0.672
15 Zn 0.876 0.876 0.876
16 Zn 0.500 0.000 0.500
17 Zn 0.328 0.328 0.328
18 Zn 0.124 0.124 0.124
19 Zn 0.876 0.876 0.371
20 Zn 0.500 0.000 0.000
21 Zn 0.000 0.000 0.000
22 Zn 0.371 0.876 0.876
23 Zn 0.328 0.328 0.017
24 Tb 0.291 0.291 0.709
25 Tb 0.291 0.709 0.291
26 Tb 0.709 0.291 0.291
27 Tb 0.291 0.709 0.709
28 Tb 0.709 0.291 0.709
29 Tb 0.709 0.709 0.291

Values from the calculation:
- crystal system = cubic
- SG = No. 225



# 3
The following is a DFT calculation (meta-GGA r2SCAN) of an optimized crystal structure of TbZn2.

Lattice parameters (Å, degrees): 4.455 5.616 5.616 78.31 66.63 66.63
Sites, in units of the cell vectors:
1 Tb 0.529 0.721 0.221
2 Tb 0.471 0.279 0.779
3 Zn 0.166 0.289 0.380
4 Zn 0.166 0.880 0.789
5 Zn 0.834 0.120 0.211
6 Zn 0.834 0.711 0.620

Values from the calculation:
- crystal system = orthorhombic
- SG = No. 74



# 4
The following is a DFT calculation (meta-GGA r2SCAN) of an optimized crystal structure of Tb2Zn17.

Lattice parameters (Å, degrees): 6.698 6.698 6.698 82.93 82.93 82.93
Sites, in units of the cell vectors:
1 Zn 0.704 0.296 0.000
2 Zn 0.000 0.296 0.704
3 Zn 0.161 0.650 0.650
4 Zn 0.000 0.000 0.500
5 Zn 0.296 0.000 0.704
6 Zn 0.000 0.704 0.296
7 Zn 0.000 0.500 0.000
8 Zn 0.839 0.350 0.350
9 Zn 0.350 0.839 0.350
10 Zn 0.704 0.000 0.296
11 Zn 0.901 0.901 0.901
12 Zn 0.099 0.099 0.099
13 Zn 0.650 0.161 0.650
14 Zn 0.650 0.650 0.161
15 Zn 0.500 0.000 0.000
16 Zn 0.296 0.704 0.000
17 Zn 0.350 0.350 0.839
18 Tb 0.664 0.664 0.664
19 Tb 0.336 0.336 0.336

Values from the calculation:
- crystal system = trigonal
- relative energy among the computed polymorphs (eV per formula unit) = 0.000
- SG = No. 166



# 5
The following is a DFT calculation (meta-GGA r2SCAN) of an optimized crystal structure of Tb3Zn11.

Lattice parameters (Å, degrees): 4.362 8.075 8.075 65.13 74.33 74.33
Sites, in units of the cell vectors:
1 Zn 0.344 0.015 0.297
2 Zn 0.860 0.857 0.423
3 Zn 0.500 0.679 0.321
4 Zn 0.000 0.500 0.500
5 Zn 0.344 0.297 0.015
6 Zn 0.656 0.985 0.703
7 Zn 0.860 0.423 0.857
8 Zn 0.500 0.321 0.679
9 Zn 0.140 0.577 0.143
10 Zn 0.656 0.703 0.985
11 Zn 0.140 0.143 0.577
12 Tb 0.000 0.000 0.000
13 Tb 0.708 0.292 0.292
14 Tb 0.292 0.708 0.708

Values from the calculation:
- crystal system = orthorhombic
- SG = No. 71



# 6
The following is a DFT calculation (meta-GGA r2SCAN) of an optimized crystal structure of ThTc2.

Lattice parameters (Å, degrees): 5.229 5.229 9.806 90.00 90.00 120.03
Sites, in units of the cell vectors:
1 Th 0.667 0.333 0.564
2 Th 0.333 0.667 0.064
3 Th 0.333 0.667 0.436
4 Th 0.667 0.333 0.936
5 Tc 0.000 0.000 0.500
6 Tc 0.830 0.661 0.250
7 Tc 0.661 0.830 0.750
8 Tc 0.170 0.339 0.750
9 Tc 0.000 0.000 0.000
10 Tc 0.339 0.170 0.250
11 Tc 0.170 0.830 0.750
12 Tc 0.830 0.170 0.250

Values from the calculation:
- crystal system = hexagonal
- SG = No. 194



# 7
The following is a DFT calculation (meta-GGA r2SCAN) of an optimized crystal structure of TiTc.

Lattice parameters (Å, degrees): 3.094 3.094 3.094 90.00 90.00 90.00
Sites, in units of the cell vectors:
1 Tc 0.000 0.000 0.000
2 Ti 0.500 0.500 0.500

Values from the calculation:
- crystal system = cubic
- SG = No. 221



# 8
The following is a DFT calculation (meta-GGA r2SCAN) of an optimized crystal structure of VTc.

Lattice parameters (Å, degrees): 3.009 3.009 3.009 90.00 90.00 90.00
Sites, in units of the cell vectors:
1 V 0.500 0.500 0.500
2 Tc 0.000 0.000 0.000

Values from the calculation:
- crystal system = cubic
- SG = No. 221



no.,E_form (eV/atom)
1,-0.404
2,-0.355
3,-0.447
4,-0.281
5,-0.378
6,-0.136
7,-0.519
8,-0.438